The following is a DFT calculation (PBE) of a relaxed Mg6AlCd crystal.

Geometry as POSCAR:
```
Mg6AlCd
1.0
-4.652 1.282 -1.402
-2.245 -5.401 2.511
-1.474 5.019 9.479
Mg Al Cd
12 2 2
direct
0.500 0.250 0.584
0.500 0.750 0.584
0.000 0.253 0.415
0.000 0.747 0.415
0.000 0.000 0.669
0.000 0.000 0.167
0.500 0.750 0.084
0.500 0.250 0.084
0.000 0.753 0.915
0.000 0.247 0.915
0.000 0.500 0.169
0.000 0.500 0.667
0.500 0.000 0.833
0.500 0.500 0.333
0.500 0.000 0.333
0.500 0.500 0.833
```

offset from the most stable computed form: 0.000 eV/atom
energy relative to the elements: -0.0060 eV per atom